Record 1
# PBE with a Hubbard U NdEuMnFeO6, relaxed
data_NdEuMnFeO6
_space_group_name_H-M_alt 'F -4 3 m'
_space_group_IT_number 216
_space_group_name_Hall 'F -4 2 3'
_cell_length_a 8.020
_cell_length_b 8.020
_cell_length_c 8.020
_cell_angle_alpha 90.00
_cell_angle_beta 90.00
_cell_angle_gamma 90.00
loop_
_atom_site_label
_atom_site_fract_x
_atom_site_fract_y
_atom_site_fract_z
Nd1 0.000 0.000 0.000
Eu1 0.000 0.000 0.500
Mn1 0.250 0.250 0.250
Fe1 0.250 0.250 0.750
O1 0.001 0.250 0.250
# VASP energy	-80.20	eV/f.u.
# DFT formation energy	-2590	meV/atom


Record 2
# PBE with a Hubbard U NaEuFe4O12, relaxed
data_NaEuFe4O12
_space_group_name_H-M_alt 'A m m 2'
_space_group_IT_number 38
_space_group_name_Hall 'A 2 -2'
_cell_length_a 9.766
_cell_length_b 9.572
_cell_length_c 10.134
_cell_angle_alpha 90.00
_cell_angle_beta 90.00
_cell_angle_gamma 90.00
loop_
_atom_site_label
_atom_site_fract_x
_atom_site_fract_y
_atom_site_fract_z
Na1 0.000 0.000 0.000
Eu1 0.500 0.000 0.480
Fe1 0.233 0.216 0.761
O1 0.000 0.181 0.247
O2 0.203 0.000 0.793
O3 0.240 0.199 0.495
O4 0.327 0.000 0.173
O5 0.500 0.195 0.764
# VASP energy	-74.20	eV/f.u.
# DFT formation energy	743	meV/atom


Record 3
# PBE with a Hubbard U PrEuNbFeO6, relaxed
data_PrEuNbFeO6
_space_group_name_H-M_alt 'F -4 3 m'
_space_group_IT_number 216
_space_group_name_Hall 'F -4 2 3'
_cell_length_a 8.014
_cell_length_b 8.014
_cell_length_c 8.014
_cell_angle_alpha 90.00
_cell_angle_beta 90.00
_cell_angle_gamma 90.00
loop_
_atom_site_label
_atom_site_fract_x
_atom_site_fract_y
_atom_site_fract_z
Pr1 0.000 0.000 0.000
Eu1 0.000 0.000 0.500
Nb1 0.250 0.250 0.250
Fe1 0.250 0.250 0.750
O1 0.000 0.250 0.250
# VASP energy	-85.54	eV/f.u.
# DFT formation energy	-2862	meV/atom


Record 4
# PBE with a Hubbard U EuNbFeSnO6, relaxed
data_EuNbFeSnO6
_space_group_name_H-M_alt 'F -4 3 m'
_space_group_IT_number 216
_space_group_name_Hall 'F -4 2 3'
_cell_length_a 8.042
_cell_length_b 8.042
_cell_length_c 8.042
_cell_angle_alpha 90.00
_cell_angle_beta 90.00
_cell_angle_gamma 90.00
loop_
_atom_site_label
_atom_site_fract_x
_atom_site_fract_y
_atom_site_fract_z
Eu1 0.000 0.000 0.000
Nb1 0.250 0.250 0.750
Fe1 0.250 0.250 0.250
Sn1 0.000 0.000 0.500
O1 0.000 0.250 0.250
# VASP energy	-80.51	eV/f.u.
# DFT formation energy	-2437	meV/atom


Record 5
# PBE with a Hubbard U Eu3Fe5O12, relaxed
data_Eu3Fe5O12
_space_group_name_H-M_alt 'I a -3 d'
_space_group_IT_number 230
_space_group_name_Hall '-I 4bd 2c 3'
_cell_length_a 12.717
_cell_length_b 12.717
_cell_length_c 12.717
_cell_angle_alpha 90.00
_cell_angle_beta 90.00
_cell_angle_gamma 90.00
loop_
_atom_site_label
_atom_site_fract_x
_atom_site_fract_y
_atom_site_fract_z
Eu1 0.000 0.250 0.125
Fe1 0.000 0.000 0.000
Fe2 0.000 0.250 0.375
O1 0.029 0.054 0.649
# VASP energy	-157.82	eV/f.u.
# DFT formation energy	-2242	meV/atom


Record 6
# PBE with a Hubbard U EuFeO3, relaxed
data_EuFeO3
_space_group_name_H-M_alt 'P n m a'
_space_group_IT_number 62
_space_group_name_Hall '-P 2ac 2n'
_cell_length_a 5.588
_cell_length_b 7.796
_cell_length_c 5.498
_cell_angle_alpha 90.00
_cell_angle_beta 90.00
_cell_angle_gamma 90.00
loop_
_atom_site_label
_atom_site_fract_x
_atom_site_fract_y
_atom_site_fract_z
Eu1 0.043 0.250 0.008
Fe1 0.000 0.000 0.500
O1 0.021 0.750 0.421
O2 0.205 0.541 0.795
# VASP energy	-41.42	eV/f.u.
# DFT formation energy	-2433	meV/atom